[1]
Pr2InGe2 | PBE-GGA | optimized geometry

a b c (Å): 7.621 7.621 4.405
angles (deg): 90.00 90.00 90.00
Fractional positions:
1 Pr 0.320 0.820 0.500
2 Pr 0.680 0.180 0.500
3 Pr 0.180 0.320 0.500
4 Pr 0.820 0.680 0.500
5 Ge 0.619 0.881 0.000
6 Ge 0.119 0.619 0.000
7 Ge 0.381 0.119 0.000
8 Ge 0.881 0.381 0.000
9 In 0.500 0.500 0.000
10 In 0.000 0.000 0.000

Calculated values
ρ: 7.03 g/cm³
Space-group type: P4/mbm, No. 127
DFT total energy: -5.046 eV/atom


[2]
LiTiRhO4 | PBE-GGA | optimized geometry

a b c (Å): 5.981 5.981 5.981
angles (deg): 120.23 117.92 91.63
Fractional positions:
1 O 0.785 0.751 0.033
2 O 0.237 0.219 0.482
3 O 0.782 0.249 0.533
4 O 0.218 0.751 0.467
5 O 0.763 0.781 0.518
6 O 0.215 0.249 0.967
7 O 0.763 0.245 0.982
8 O 0.237 0.755 0.018
9 Ti 0.000 0.500 0.000
10 Ti 0.000 0.000 0.500
11 Rh 0.000 0.000 0.000
12 Rh 0.500 0.000 0.500
13 Li 0.379 0.629 0.750
14 Li 0.621 0.371 0.250

Calculated values
ρ: 4.80 g/cm³
Space-group type: Imma, No. 74
DFT total energy: -7.308 eV/atom


[3]
Tb2Pr2O5 | PBE-GGA | optimized geometry

a b c (Å): 4.393 4.393 7.883
angles (deg): 90.00 90.00 90.00
Fractional positions:
1 Tb 0.500 0.500 0.769
2 Tb 0.500 0.500 0.231
3 O 0.500 0.000 0.760
4 O 0.000 0.500 0.240
5 O 0.500 0.000 0.240
6 O 0.000 0.500 0.760
7 O 0.500 0.500 0.500
8 Pr 0.000 0.000 0.500
9 Pr 0.000 0.000 0.000

Calculated values
ρ: 7.42 g/cm³
Space-group type: P4/mmm, No. 123
DFT total energy: -7.540 eV/atom


no.,formation energy (eV per formula unit)
1,-3.7
2,-16.9
3,-27.7